[1]
Computed, not measured: an optimized crystal structure of Rb2TlBiBr6 at the PBE level of DFT.

## Properties
- space-group type = Fm-3m, No. 225
- energy of formation (eV/atom) = -1.4966

Unit cell a=8.5106 b=8.5106 c=8.5106 alpha=60.00 beta=60.00 gamma=60.00
Sites, in units of the cell vectors:
Br  0.2385  0.7615  0.7615
Br  0.7615  0.2385  0.7615
Br  0.7615  0.2385  0.2385
Br  0.2385  0.2385  0.7615
Tl  0.5000  0.5000  0.5000
Bi  0.0000  0.0000  0.0000
Br  0.7615  0.7615  0.2385
Rb  0.2500  0.2500  0.2500
Rb  0.7500  0.7500  0.7500
Br  0.2385  0.7615  0.2385

[2]
Computed, not measured: an optimized crystal structure of Sr3Ga2O12 at the PBE level of DFT.

## Properties
- space-group type = Ia-3d, No. 230
- energy of formation (eV/atom) = -1.4024

Unit cell a=11.9289 b=11.9289 c=11.9289 alpha=109.47 beta=109.47 gamma=109.47
Sites, in units of the cell vectors:
O  0.1879  0.1193  0.0518
Ga  0.0000  0.0000  0.5000
O  0.5686  0.9325  0.3807
Sr  0.6250  0.2500  0.8750
Ga  0.5000  0.0000  0.0000
O  0.6361  0.0675  0.9482
O  0.0675  0.9482  0.6361
O  0.9314  0.3121  0.3639
Sr  0.1250  0.3750  0.7500
O  0.8807  0.9482  0.8121
O  0.0518  0.3639  0.9325
O  0.5518  0.4325  0.8639
O  0.1879  0.5686  0.1361
O  0.6879  0.5518  0.6193
O  0.3807  0.3121  0.4482
O  0.0686  0.6879  0.6361
O  0.1361  0.1879  0.5686
O  0.5686  0.1361  0.1879
O  0.9314  0.1193  0.5675
O  0.6361  0.0686  0.6879
Sr  0.8750  0.7500  0.6250
O  0.3639  0.9325  0.0518
O  0.5675  0.9314  0.1193
O  0.9482  0.8121  0.8807
Sr  0.2500  0.3750  0.1250
Sr  0.2500  0.8750  0.6250
O  0.6193  0.6879  0.5518
Sr  0.7500  0.6250  0.8750
O  0.4325  0.0686  0.8807
O  0.5675  0.1361  0.4482
O  0.8121  0.4314  0.8639
O  0.1193  0.5675  0.9314
O  0.0675  0.6193  0.4314
O  0.1193  0.0518  0.1879
Ga  0.0000  0.0000  0.0000
O  0.3121  0.3639  0.9314
O  0.4325  0.8639  0.5518
O  0.4314  0.0675  0.6193
Ga  0.5000  0.5000  0.0000
O  0.8639  0.8121  0.4314
O  0.4482  0.5675  0.1361
Sr  0.7500  0.1250  0.3750
Ga  0.0000  0.5000  0.0000
O  0.6879  0.6361  0.0686
Sr  0.6250  0.8750  0.7500
O  0.8121  0.8807  0.9482
O  0.0686  0.8807  0.4325
Ga  0.0000  0.5000  0.5000
Ga  0.5000  0.0000  0.5000
O  0.4482  0.3807  0.3121
Sr  0.8750  0.6250  0.2500
Ga  0.5000  0.5000  0.5000
O  0.9325  0.0518  0.3639
Sr  0.1250  0.2500  0.3750
O  0.3807  0.5686  0.9325
O  0.4314  0.8639  0.8121
O  0.3121  0.4482  0.3807
O  0.3639  0.9314  0.3121
Sr  0.3750  0.1250  0.2500
O  0.5518  0.6193  0.6879
Sr  0.3750  0.7500  0.1250
O  0.6193  0.4314  0.0675
O  0.0518  0.1879  0.1193
O  0.9325  0.3807  0.5686
O  0.8639  0.5518  0.4325
O  0.1361  0.4482  0.5675
O  0.8807  0.4325  0.0686
O  0.9482  0.6361  0.0675

[3]
Computed, not measured: an optimized crystal structure of As2Se3 at the PBE level of DFT.

## Properties
- space-group type = P2_1/c, No. 14
- energy of formation (eV/atom) = -0.3966

Unit cell a=10.9676 b=4.5050 c=12.9154 alpha=69.99 beta=90.00 gamma=90.00
Sites, in units of the cell vectors:
Se  0.1263  0.8732  0.5976
As  0.3049  0.3777  0.2369
Se  0.8904  0.6869  0.8415
Se  0.3904  0.3131  0.6585
As  0.6821  0.8979  0.4834
Se  0.6263  0.1268  0.9024
Se  0.2881  0.5513  0.8805
Se  0.7881  0.4487  0.6195
Se  0.2119  0.5513  0.3805
As  0.6951  0.6223  0.7631
As  0.8179  0.8979  0.9834
As  0.8049  0.6223  0.2631
As  0.1951  0.3777  0.7369
As  0.3179  0.1021  0.5166
Se  0.8737  0.1268  0.4024
Se  0.1096  0.3131  0.1585
As  0.1821  0.1021  0.0166
Se  0.3737  0.8732  0.0976
Se  0.6096  0.6869  0.3415
Se  0.7119  0.4487  0.1195

[4]
Computed, not measured: an optimized crystal structure of ZnSnBiO5 at the PBE level of DFT.

## Properties
- space-group type = P2_1/c, No. 14
- energy of formation (eV/atom) = -1.6624

Unit cell a=11.1579 b=5.3328 c=8.8111 alpha=73.01 beta=90.00 gamma=90.00
Sites, in units of the cell vectors:
Zn  0.8938  0.4755  0.1442
Bi  0.6075  0.0570  0.3470
Sn  0.6122  0.8668  0.9298
Bi  0.8925  0.0570  0.8470
O  0.5329  0.2310  0.5281
O  0.7209  0.7216  0.4945
O  0.2209  0.2784  0.0055
O  0.2023  0.8100  0.7048
Sn  0.1122  0.1332  0.5702
O  0.0533  0.0919  0.3603
O  0.5352  0.6516  0.8015
Sn  0.3878  0.1332  0.0702
Zn  0.1062  0.5245  0.8558
O  0.7791  0.7216  0.9945
O  0.4648  0.3484  0.1985
O  0.4467  0.0919  0.8603
Bi  0.1075  0.9430  0.1530
O  0.2977  0.8100  0.2048
O  0.9467  0.9081  0.6397
Zn  0.3938  0.5245  0.3558
O  0.0329  0.7690  0.9719
O  0.0352  0.3484  0.6985
Zn  0.6062  0.4755  0.6442
O  0.2791  0.2784  0.5055
O  0.9671  0.2310  0.0281
O  0.5533  0.9081  0.1397
Bi  0.3925  0.9430  0.6530
O  0.7977  0.1900  0.2952
O  0.7023  0.1900  0.7952
O  0.9648  0.6516  0.3015
Sn  0.8878  0.8668  0.4298
O  0.4671  0.7690  0.4719

[5]
Computed, not measured: an optimized crystal structure of Mg3Sb at the PBE level of DFT.

## Properties
- space-group type = P6_3/mmc, No. 194
- energy of formation (eV/atom) = -0.1827

Unit cell a=6.2587 b=6.2587 c=5.4395 alpha=90.00 beta=90.00 gamma=120.00
Sites, in units of the cell vectors:
Sb  0.3333  0.6667  0.2500
Mg  0.1646  0.3292  0.7500
Mg  0.1646  0.8354  0.7500
Mg  0.8354  0.6708  0.2500
Mg  0.8354  0.1646  0.2500
Mg  0.6708  0.8354  0.7500
Mg  0.3292  0.1646  0.2500
Sb  0.6667  0.3333  0.7500

[6]
Computed, not measured: an optimized crystal structure of SiO2 at the PBE level of DFT.

## Properties
- space-group type = Cmce, No. 64
- energy of formation (eV/atom) = -3.2579

Unit cell a=6.8839 b=6.8839 c=9.0687 alpha=90.00 beta=90.00 gamma=97.40
Sites, in units of the cell vectors:
Si  0.1931  0.4605  0.4095
O  0.8330  0.1670  0.1133
O  0.0000  0.5000  0.5000
O  0.3069  0.3069  0.5000
Si  0.6931  0.9605  0.0905
O  0.6931  0.6931  0.5000
O  0.5000  0.0000  0.0000
O  0.0000  0.5000  0.0000
O  0.8069  0.8069  0.0000
O  0.8673  0.6327  0.7500
O  0.1327  0.3673  0.2500
Si  0.3069  0.0395  0.9095
Si  0.4605  0.1931  0.5905
Si  0.0395  0.3069  0.0905
Si  0.8069  0.5395  0.5905
Si  0.9605  0.6931  0.9095
O  0.6670  0.3330  0.6133
O  0.5000  0.0000  0.5000
O  0.3673  0.1327  0.7500
O  0.1931  0.1931  0.0000
O  0.1670  0.8330  0.8867
O  0.6327  0.8673  0.2500
O  0.3330  0.6670  0.3867
Si  0.5395  0.8069  0.4095

[7]
Computed, not measured: an optimized crystal structure of Na7Mg3SnP5SO24 at the PBE level of DFT.

## Properties
- space-group type = P1, No. 1
- energy of formation (eV/atom) = -2.6370

Unit cell a=8.9972 b=8.9750 c=22.0879 alpha=89.68 beta=90.25 gamma=119.94
Sites, in units of the cell vectors:
O  0.5228  0.8287  0.7555
O  0.2125  0.1944  0.8091
O  0.6379  0.1181  0.1426
S  0.7056  0.7059  0.2500
O  0.8467  0.3169  0.2454
O  0.1394  0.6444  0.0791
O  0.1911  0.1730  0.0886
O  0.3166  0.8358  0.2547
O  0.6425  0.4967  0.9216
O  0.6828  0.1592  0.7432
Na  0.3250  0.2965  0.9100
O  0.4794  0.1635  0.2459
O  0.6393  0.1444  0.4218
Na  0.9893  0.0006  0.9949
Na  0.2968  0.3400  0.5873
O  0.6976  0.5488  0.5246
Mg  0.9964  0.0018  0.8486
O  0.4524  0.2992  0.0273
O  0.8085  0.9812  0.4103
O  0.1401  0.4987  0.5774
Na  0.6451  0.6357  0.7473
O  0.1176  0.4887  0.8612
S  0.0003  0.2934  0.2492
O  0.8102  0.7889  0.3046
Mg  0.3308  0.6703  0.3232
O  0.8454  0.5457  0.0271
O  0.4460  0.1445  0.5255
Mg  0.3352  0.6684  0.0165
O  0.1148  0.6400  0.3584
O  0.9757  0.8060  0.0884
O  0.8501  0.5049  0.4198
Mg  0.0074  0.0086  0.3541
O  0.8422  0.2904  0.5284
Na  0.9729  0.6770  0.9104
O  0.8758  0.3606  0.6402
Mg  0.6603  0.3271  0.1807
P  0.6665  0.6297  0.5843
O  0.7075  0.1580  0.0300
P  0.3707  0.3350  0.0849
P  0.6677  0.0358  0.0865
Na  0.3336  0.6698  0.6678
O  0.9859  0.1730  0.5891
P  0.7039  0.0002  0.7493
Na  0.6688  0.3259  0.3345
Mg  0.3309  0.6593  0.5134
O  0.9729  0.1816  0.3021
O  0.4852  0.3650  0.1406
O  0.8426  0.5235  0.7463
P  0.0024  0.7066  0.7505
O  0.1745  0.9832  0.9124
O  0.1816  0.1858  0.4121
Na  0.3321  0.6731  0.1631
O  0.8741  0.5125  0.1411
Sn  0.6669  0.3284  0.9823
Mg  0.6670  0.3347  0.6875
O  0.3683  0.4821  0.3599
P  0.3332  0.9624  0.9198
Na  0.6242  0.9992  0.2515
O  0.6370  0.5101  0.6378
Na  0.0091  0.6427  0.2507
O  0.9797  0.7904  0.8073
O  0.0221  0.1950  0.9116
P  0.3332  0.3696  0.4174
P  0.9605  0.6270  0.0855
O  0.4876  0.1282  0.6344
Na  0.3241  0.0218  0.4116
O  0.5192  0.8868  0.3597
O  0.8293  0.0174  0.0906
O  0.3659  0.8815  0.8629
O  0.1466  0.4578  0.9752
Na  0.3647  0.3573  0.2531
P  0.2972  0.2954  0.7513
Na  0.6963  0.6740  0.4174
O  0.5059  0.6500  0.5777
Na  0.0271  0.6956  0.5879
O  0.3534  0.4968  0.0780
Na  0.2964  0.9628  0.0827
O  0.3564  0.8675  0.5774
O  0.8189  0.0258  0.8037
Na  0.6752  0.9645  0.5856
Sn  0.6772  0.3373  0.4818
O  0.5055  0.8582  0.0785
O  0.6907  0.5322  0.2456
O  0.5298  0.6834  0.2544
Sn  0.3358  0.6740  0.8162
O  0.1459  0.6922  0.4733
O  0.1863  0.2191  0.6939
O  0.8586  0.3631  0.9215
O  0.0277  0.8107  0.6919
P  0.0379  0.3706  0.9190
O  0.8120  0.8196  0.9121
Na  0.6651  0.7014  0.0790
O  0.1637  0.6792  0.7544
O  0.1578  0.4664  0.2549
O  0.0115  0.8252  0.4113
O  0.5454  0.8550  0.4742
O  0.0224  0.2152  0.1934
Na  0.9926  0.3554  0.7478
O  0.1859  0.9725  0.1929
O  0.5032  0.3521  0.4212
O  0.2106  0.0258  0.3062
O  0.4815  0.3289  0.7455
O  0.7734  0.9626  0.6907
P  0.9636  0.3334  0.5859
Na  0.9934  0.0117  0.4971
P  0.2964  0.9992  0.2501
Mg  0.0062  0.9985  0.1472
O  0.3175  0.4541  0.4749
Na  0.0356  0.3337  0.0795
Na  0.6552  0.3100  0.8265
P  0.6309  0.6690  0.9195
S  0.3737  0.0404  0.5835
O  0.7858  0.8120  0.1952
O  0.8317  0.8081  0.5871
O  0.4954  0.1491  0.9217
O  0.3121  0.4826  0.7551
O  0.5439  0.6852  0.9761
O  0.3099  0.8558  0.9768
Mg  0.9954  0.0001  0.6560
P  0.0375  0.6671  0.4164
P  0.6304  0.9633  0.4172
O  0.5133  0.6297  0.8617
O  0.2010  0.0229  0.5883

[8]
Computed, not measured: an optimized crystal structure of Ca2SnS4 at the PBE level of DFT.

## Properties
- space-group type = P2_1/m, No. 11
- energy of formation (eV/atom) = -1.5526

Unit cell a=6.9958 b=6.8311 c=7.7926 alpha=72.97 beta=90.00 gamma=90.00
Sites, in units of the cell vectors:
Sn  0.7500  0.7594  0.1869
Ca  0.2500  0.7235  0.4460
S  0.0037  0.5051  0.2517
S  0.2500  0.0315  0.1149
Sn  0.2500  0.2406  0.8131
S  0.4963  0.5051  0.2517
S  0.9963  0.4949  0.7483
S  0.2500  0.0362  0.6147
Ca  0.2500  0.7110  0.9463
S  0.7500  0.9685  0.8851
Ca  0.7500  0.2765  0.5540
S  0.7500  0.9638  0.3853
Ca  0.7500  0.2890  0.0537
S  0.5037  0.4949  0.7483

[9]
Computed, not measured: an optimized crystal structure of LaH3CSO7 at the PBE level of DFT.

## Properties
- space-group type = P4_1, No. 76
- energy of formation (eV/atom) = -2.0463

Unit cell a=7.1013 b=7.1013 c=12.0423 alpha=90.00 beta=90.00 gamma=90.00
Sites, in units of the cell vectors:
O  0.6130  0.5375  0.6838
H  0.5937  0.1730  0.9369
O  0.0096  0.1482  0.2332
H  0.0187  0.1564  0.8666
S  0.7533  0.3877  0.7124
O  0.2448  0.4405  0.7531
O  0.6609  0.8686  0.8633
H  0.8270  0.5937  0.1869
O  0.1482  0.9904  0.9832
O  0.4625  0.6130  0.9338
S  0.3877  0.2467  0.4624
O  0.7839  0.6537  0.0017
C  0.8491  0.0999  0.1945
O  0.7552  0.5595  0.2531
C  0.9001  0.8491  0.4445
O  0.5375  0.3870  0.4338
O  0.1225  0.5433  0.3020
O  0.5433  0.8775  0.0520
H  0.3771  0.4548  0.7301
C  0.1509  0.9001  0.6945
O  0.5595  0.2448  0.0031
O  0.3463  0.7839  0.2517
La  0.1065  0.6393  0.9077
La  0.3607  0.1065  0.1577
O  0.6537  0.2161  0.7517
O  0.4405  0.7552  0.5031
H  0.8436  0.0187  0.1166
O  0.3391  0.1314  0.3633
La  0.8935  0.3607  0.4077
O  0.8775  0.4567  0.8020
O  0.9904  0.8518  0.7332
H  0.1564  0.9813  0.6166
O  0.4567  0.1225  0.5520
O  0.2161  0.3463  0.5017
H  0.4063  0.8270  0.4369
H  0.5452  0.3771  0.9801
La  0.6393  0.8935  0.6577
H  0.9813  0.8436  0.3666
H  0.1730  0.4063  0.6869
H  0.4548  0.6229  0.4801
O  0.1409  0.3036  0.9936
S  0.2467  0.6123  0.2124
O  0.3870  0.4625  0.1838
O  0.1314  0.6609  0.1133
H  0.6229  0.5452  0.2301
C  0.0999  0.1509  0.9445
O  0.6964  0.1409  0.2436
O  0.8518  0.0096  0.4832
S  0.6123  0.7533  0.9624
O  0.8591  0.6964  0.4936
O  0.3036  0.8591  0.7436
O  0.8686  0.3391  0.6133

[10]
Computed, not measured: an optimized crystal structure of CsFeI4 at the PBE level of DFT.

## Properties
- space-group type = P2_1/c, No. 14
- energy of formation (eV/atom) = -0.9415

Unit cell a=19.0012 b=7.5545 c=8.6589 alpha=72.19 beta=90.00 gamma=90.00
Sites, in units of the cell vectors:
I  0.0564  0.7278  0.0608
Fe  0.1271  0.8118  0.7950
I  0.1515  0.1641  0.7045
I  0.5564  0.2722  0.4392
I  0.2438  0.6388  0.8456
I  0.0555  0.7285  0.5777
Cs  0.3670  0.1813  0.7035
I  0.5555  0.2715  0.9223
I  0.4436  0.7278  0.5608
I  0.8485  0.8359  0.2955
Fe  0.8729  0.1882  0.2050
I  0.6515  0.8359  0.7955
Fe  0.3729  0.8118  0.2950
Fe  0.6271  0.1882  0.7050
I  0.7562  0.3612  0.1544
I  0.7438  0.3612  0.6544
Cs  0.6330  0.8187  0.2965
Cs  0.1330  0.1813  0.2035
I  0.9436  0.2722  0.9392
Cs  0.8670  0.8187  0.7965
I  0.3485  0.1641  0.2045
I  0.9445  0.2715  0.4223
I  0.2562  0.6388  0.3456
I  0.4445  0.7285  0.0777